! RbCr5Se8 PBE optimized geometry; values from VASP
! **Energy of formation**: -0.916 eV/atom
! **Raw total energy**: -6.16 eV/atom
! **Energy with MP2020 corrections**: -6.43 eV/atom
&SYSTEM
  ibrav = 0, nat = 14, ntyp = 3
/
ATOMIC_SPECIES
Se 78.96 Se.upf
Cr 52.00 Cr.upf
Rb 85.47 Rb.upf
ATOMIC_POSITIONS crystal
Se 0.1716 0.1716 0.5115
Se 0.5754 0.5754 0.8473
Se 0.2387 0.2387 0.8431
Se 0.7613 0.7613 0.1569
Se 0.8284 0.8284 0.4885
Se 0.0865 0.0865 0.1699
Se 0.4246 0.4246 0.1527
Se 0.9135 0.9135 0.8301
Cr 0.7043 0.7043 0.6663
Cr 0.6589 0.6589 0.0208
Cr 0.2957 0.2957 0.3337
Cr 0.3411 0.3411 0.9792
Cr 0.0000 0.0000 0.0000
Rb 0.5000 0.5000 0.5000
CELL_PARAMETERS angstrom
4.6212 -7.3404 4.3517
5.0182 -4.6600 6.8757
-6.3697 -3.9844 5.2329

! RbCrSe2 PBE optimized geometry; values from VASP
! **Energy of formation**: -1.018 eV/atom
! **Raw total energy**: -5.19 eV/atom
! **Energy with MP2020 corrections**: -5.42 eV/atom
&SYSTEM
  ibrav = 0, nat = 4, ntyp = 3
/
ATOMIC_SPECIES
Cr 52.00 Cr.upf
Se 78.96 Se.upf
Rb 85.47 Rb.upf
ATOMIC_POSITIONS crystal
Cr 0.0020 0.0020 0.9941
Se 0.6123 0.6123 0.1630
Se 0.3912 0.3912 0.8264
Rb 0.8345 0.8345 0.4965
CELL_PARAMETERS angstrom
-1.9451 -3.3690 0.0000
1.9451 -3.3690 0.0000
0.0000 -2.2460 7.7810

! RbCr5Te8 PBE optimized geometry; values from VASP
! **Energy of formation**: -0.563 eV/atom
! **Raw total energy**: -5.64 eV/atom
! **Energy with MP2020 corrections**: -5.88 eV/atom
&SYSTEM
  ibrav = 0, nat = 14, ntyp = 3
/
ATOMIC_SPECIES
Te 127.60 Te.upf
Rb 85.47 Rb.upf
Cr 52.00 Cr.upf
ATOMIC_POSITIONS crystal
Te 0.9112 0.9112 0.8309
Te 0.1714 0.1714 0.5090
Te 0.4273 0.4273 0.1605
Te 0.5727 0.5727 0.8395
Te 0.7606 0.7606 0.1573
Te 0.2394 0.2394 0.8427
Te 0.0888 0.0888 0.1691
Te 0.8286 0.8286 0.4910
Rb 0.5000 0.5000 0.5000
Cr 0.6589 0.6589 0.0143
Cr 0.3411 0.3411 0.9857
Cr 0.2958 0.2958 0.3312
Cr 0.7042 0.7042 0.6688
Cr 0.0000 0.0000 0.0000
CELL_PARAMETERS angstrom
4.0791 -4.4081 8.5466
7.4224 -3.5914 6.4128
1.8849 7.4802 5.8160

Question: raw total energy of number 3 (RbCr5Te8)?
Answer: -5.64 eV/atom

Question: What is the raw total energy in the first record?
Answer: -6.16 eV/atom

Question: What is the raw total energy in the third record?
Answer: -5.64 eV/atom

Question: Among the records above, which one has the lowest raw total energy?
Answer: RbCr5Se8